(1)
# V3Sb PBE optimized geometry
data_V3Sb
_symmetry_space_group_name_H-M 'P 1'
_symmetry_Int_Tables_number 1
_cell_length_a 4.935
_cell_length_b 4.935
_cell_length_c 4.935
_cell_angle_alpha 90.00
_cell_angle_beta 90.00
_cell_angle_gamma 90.00
loop_
_symmetry_equiv_pos_as_xyz
'x,y,z'
loop_
_atom_site_label
_atom_site_fract_x
_atom_site_fract_y
_atom_site_fract_z
V1 0.500 0.250 0.000
V2 0.500 0.750 0.000
V3 0.250 0.000 0.500
V4 0.750 0.000 0.500
V5 0.000 0.500 0.250
V6 0.000 0.500 0.750
Sb1 0.500 0.500 0.500
Sb2 0.000 0.000 0.000
# - formation energy (eV/atom) = -0.263

***

(2)
# Ba3Y2Br12 PBE optimized geometry
data_Ba3Y2Br12
_symmetry_space_group_name_H-M 'P 1'
_symmetry_Int_Tables_number 1
_cell_length_a 13.407
_cell_length_b 12.875
_cell_length_c 20.609
_cell_angle_alpha 55.40
_cell_angle_beta 90.00
_cell_angle_gamma 90.00
loop_
_symmetry_equiv_pos_as_xyz
'x,y,z'
loop_
_atom_site_label
_atom_site_fract_x
_atom_site_fract_y
_atom_site_fract_z
Ba1 0.205 0.434 0.529
Ba2 0.130 0.717 0.153
Ba3 0.340 0.973 0.901
Ba4 0.630 0.283 0.347
Ba5 0.840 0.027 0.599
Ba6 0.705 0.566 0.971
Ba7 0.295 0.434 0.029
Ba8 0.160 0.973 0.401
Ba9 0.370 0.717 0.653
Ba10 0.660 0.027 0.099
Ba11 0.870 0.283 0.847
Ba12 0.795 0.566 0.471
Y1 0.480 0.628 0.132
Y2 0.980 0.372 0.368
Y3 0.526 0.116 0.639
Y4 0.026 0.884 0.861
Y5 0.974 0.116 0.139
Y6 0.474 0.884 0.361
Y7 0.020 0.628 0.632
Y8 0.520 0.372 0.868
Br1 0.629 0.807 0.068
Br2 0.635 0.344 0.542
Br3 0.800 0.516 0.334
Br4 0.922 0.110 0.787
Br5 0.123 0.546 0.351
Br6 0.353 0.828 0.096
Br7 0.107 0.942 0.967
Br8 0.476 0.158 0.752
Br9 0.191 0.021 0.768
Br10 0.359 0.238 0.543
Br11 0.989 0.483 0.209
Br12 0.456 0.686 0.974
Br13 0.489 0.517 0.291
Br14 0.956 0.314 0.526
Br15 0.859 0.762 0.957
Br16 0.691 0.979 0.732
Br17 0.607 0.058 0.533
Br18 0.853 0.172 0.404
Br19 0.976 0.842 0.748
Br20 0.623 0.454 0.149
Br21 0.300 0.484 0.166
Br22 0.129 0.193 0.432
Br23 0.422 0.890 0.713
Br24 0.135 0.656 0.958
Br25 0.865 0.344 0.042
Br26 0.578 0.110 0.287
Br27 0.871 0.807 0.568
Br28 0.700 0.516 0.834
Br29 0.377 0.546 0.851
Br30 0.024 0.158 0.252
Br31 0.147 0.828 0.596
Br32 0.393 0.942 0.467
Br33 0.309 0.021 0.268
Br34 0.141 0.238 0.043
Br35 0.044 0.686 0.474
Br36 0.511 0.483 0.709
Br37 0.544 0.314 0.026
Br38 0.011 0.517 0.791
Br39 0.641 0.762 0.457
Br40 0.809 0.979 0.232
Br41 0.524 0.842 0.248
Br42 0.893 0.058 0.033
Br43 0.647 0.172 0.904
Br44 0.877 0.454 0.649
Br45 0.078 0.890 0.213
Br46 0.200 0.484 0.666
Br47 0.365 0.656 0.458
Br48 0.371 0.193 0.932
# - formation energy (eV/atom) = -2.389

***

(3)
# Cd2SnO4 PBE optimized geometry
data_Cd2SnO4
_symmetry_space_group_name_H-M 'P 1'
_symmetry_Int_Tables_number 1
_cell_length_a 3.249
_cell_length_b 5.665
_cell_length_c 10.127
_cell_angle_alpha 90.00
_cell_angle_beta 90.00
_cell_angle_gamma 90.00
loop_
_symmetry_equiv_pos_as_xyz
'x,y,z'
loop_
_atom_site_label
_atom_site_fract_x
_atom_site_fract_y
_atom_site_fract_z
Cd1 0.500 0.060 0.324
Cd2 0.500 0.940 0.676
Cd3 0.500 0.440 0.824
Cd4 0.500 0.560 0.176
Sn1 0.000 0.000 0.000
Sn2 0.000 0.500 0.500
O1 0.000 0.134 0.808
O2 0.000 0.866 0.192
O3 0.000 0.634 0.692
O4 0.000 0.366 0.308
O5 0.500 0.265 0.539
O6 0.500 0.735 0.461
O7 0.500 0.235 0.039
O8 0.500 0.765 0.961
# - formation energy (eV/atom) = -1.717

***

(4)
# DyCr3S6 PBE optimized geometry
data_DyCr3S6
_symmetry_space_group_name_H-M 'P 1'
_symmetry_Int_Tables_number 1
_cell_length_a 10.697
_cell_length_b 12.656
_cell_length_c 21.691
_cell_angle_alpha 90.00
_cell_angle_beta 90.00
_cell_angle_gamma 90.00
loop_
_symmetry_equiv_pos_as_xyz
'x,y,z'
loop_
_atom_site_label
_atom_site_fract_x
_atom_site_fract_y
_atom_site_fract_z
Dy1 0.083 0.164 0.493
Dy2 0.084 0.000 0.743
Dy3 0.083 0.162 0.993
Dy4 0.250 0.663 0.508
Dy5 0.250 0.663 0.008
Dy6 0.416 0.000 0.243
Dy7 0.417 0.162 0.493
Dy8 0.417 0.164 0.993
Dy9 0.583 0.662 0.507
Dy10 0.584 0.500 0.757
Dy11 0.583 0.664 0.007
Dy12 0.750 0.163 0.492
Dy13 0.750 0.163 0.992
Dy14 0.916 0.500 0.257
Dy15 0.917 0.664 0.507
Dy16 0.917 0.662 0.007
Cr1 0.084 0.427 0.418
Cr2 0.083 0.224 0.653
Cr3 0.081 0.947 0.396
Cr4 0.083 0.427 0.915
Cr5 0.081 0.213 0.155
Cr6 0.083 0.944 0.901
Cr7 0.081 0.739 0.172
Cr8 0.251 0.928 0.582
Cr9 0.249 0.928 0.082
Cr10 0.252 0.712 0.345
Cr11 0.248 0.712 0.845
Cr12 0.249 0.448 0.604
Cr13 0.251 0.448 0.104
Cr14 0.252 0.239 0.327
Cr15 0.248 0.239 0.827
Cr16 0.419 0.739 0.672
Cr17 0.417 0.736 0.172
Cr18 0.417 0.944 0.401
Cr19 0.419 0.947 0.896
Cr20 0.419 0.213 0.655
Cr21 0.417 0.224 0.153
Cr22 0.417 0.427 0.415
Cr23 0.416 0.427 0.918
Cr24 0.581 0.239 0.328
Cr25 0.581 0.713 0.345
Cr26 0.583 0.236 0.828
Cr27 0.583 0.927 0.585
Cr28 0.583 0.444 0.599
Cr29 0.583 0.724 0.847
Cr30 0.581 0.447 0.104
Cr31 0.584 0.927 0.082
Cr32 0.749 0.428 0.418
Cr33 0.751 0.428 0.918
Cr34 0.748 0.212 0.655
Cr35 0.752 0.212 0.155
Cr36 0.751 0.948 0.396
Cr37 0.749 0.948 0.896
Cr38 0.752 0.739 0.173
Cr39 0.748 0.739 0.673
Cr40 0.917 0.236 0.328
Cr41 0.919 0.239 0.828
Cr42 0.919 0.447 0.604
Cr43 0.917 0.444 0.099
Cr44 0.917 0.724 0.347
Cr45 0.919 0.713 0.845
Cr46 0.916 0.927 0.582
Cr47 0.917 0.927 0.085
Cr48 0.083 0.736 0.672
S1 0.084 0.124 0.363
S2 0.082 0.364 0.315
S3 0.080 0.673 0.277
S4 0.083 0.045 0.606
S5 0.083 0.495 0.526
S6 0.084 0.760 0.422
S7 0.084 0.405 0.671
S8 0.084 0.119 0.855
S9 0.083 0.800 0.567
S10 0.083 0.671 0.776
S11 0.083 0.046 0.102
S12 0.083 0.495 0.025
S13 0.080 0.401 0.169
S14 0.082 0.799 0.067
S15 0.249 0.864 0.685
S16 0.251 0.864 0.185
S17 0.250 0.546 0.399
S18 0.250 0.546 0.899
S19 0.253 0.901 0.331
S20 0.247 0.901 0.831
S21 0.250 0.624 0.637
S22 0.250 0.624 0.137
S23 0.247 0.173 0.723
S24 0.253 0.173 0.223
S25 0.251 0.299 0.432
S26 0.249 0.299 0.932
S27 0.251 0.260 0.578
S28 0.249 0.260 0.078
S29 0.250 0.996 0.475
S30 0.250 0.996 0.975
S31 0.417 0.495 0.525
S32 0.417 0.495 0.026
S33 0.417 0.757 0.421
S34 0.416 0.760 0.922
S35 0.418 0.799 0.567
S36 0.417 0.800 0.067
S37 0.417 0.671 0.276
S38 0.420 0.673 0.777
S39 0.416 0.119 0.355
S40 0.416 0.124 0.863
S41 0.420 0.401 0.669
S42 0.416 0.405 0.171
S43 0.417 0.046 0.602
S44 0.417 0.045 0.106
S45 0.416 0.362 0.314
S46 0.418 0.364 0.815
S47 0.583 0.546 0.398
S48 0.583 0.545 0.894
S49 0.584 0.624 0.137
S50 0.584 0.619 0.645
S51 0.580 0.901 0.331
S52 0.583 0.257 0.579
S53 0.582 0.299 0.433
S54 0.584 0.905 0.829
S55 0.583 0.995 0.475
S56 0.583 0.171 0.724
S57 0.583 0.300 0.933
S58 0.584 0.260 0.078
S59 0.580 0.173 0.223
S60 0.583 0.995 0.974
S61 0.582 0.864 0.185
S62 0.584 0.862 0.686
S63 0.751 0.364 0.315
S64 0.749 0.364 0.815
S65 0.750 0.046 0.601
S66 0.750 0.046 0.101
S67 0.747 0.401 0.669
S68 0.753 0.401 0.169
S69 0.750 0.124 0.363
S70 0.750 0.124 0.863
S71 0.753 0.673 0.277
S72 0.747 0.673 0.777
S73 0.749 0.799 0.568
S74 0.751 0.799 0.068
S75 0.749 0.760 0.422
S76 0.751 0.760 0.922
S77 0.750 0.496 0.525
S78 0.750 0.496 0.025
S79 0.917 0.995 0.474
S80 0.917 0.995 0.975
S81 0.916 0.260 0.578
S82 0.917 0.257 0.079
S83 0.917 0.300 0.433
S84 0.918 0.299 0.933
S85 0.920 0.173 0.723
S86 0.917 0.171 0.224
S87 0.916 0.624 0.637
S88 0.916 0.619 0.145
S89 0.916 0.905 0.329
S90 0.920 0.901 0.831
S91 0.917 0.545 0.394
S92 0.917 0.546 0.898
S93 0.918 0.864 0.685
S94 0.916 0.862 0.186
S95 0.084 0.362 0.814
S96 0.083 0.757 0.921
# - formation energy (eV/atom) = -1.315

***

(5)
# K2TlIrF6 PBE optimized geometry
data_K2TlIrF6
_symmetry_space_group_name_H-M 'P 1'
_symmetry_Int_Tables_number 1
_cell_length_a 6.546
_cell_length_b 6.546
_cell_length_c 6.546
_cell_angle_alpha 60.00
_cell_angle_beta 60.00
_cell_angle_gamma 60.00
loop_
_symmetry_equiv_pos_as_xyz
'x,y,z'
loop_
_atom_site_label
_atom_site_fract_x
_atom_site_fract_y
_atom_site_fract_z
K1 0.250 0.250 0.250
K2 0.750 0.750 0.750
Tl1 0.500 0.500 0.500
Ir1 0.000 0.000 0.000
F1 0.220 0.220 0.780
F2 0.220 0.780 0.780
F3 0.780 0.780 0.220
F4 0.220 0.780 0.220
F5 0.780 0.220 0.780
F6 0.780 0.220 0.220
# - formation energy (eV/atom) = -2.280

***

(6)
# ZnRuN2 PBE optimized geometry
data_ZnRuN2
_symmetry_space_group_name_H-M 'P 1'
_symmetry_Int_Tables_number 1
_cell_length_a 5.690
_cell_length_b 6.452
_cell_length_c 5.373
_cell_angle_alpha 90.00
_cell_angle_beta 90.00
_cell_angle_gamma 90.00
loop_
_symmetry_equiv_pos_as_xyz
'x,y,z'
loop_
_atom_site_label
_atom_site_fract_x
_atom_site_fract_y
_atom_site_fract_z
Zn1 0.582 0.880 0.002
Zn2 0.418 0.120 0.502
Zn3 0.918 0.380 0.502
Zn4 0.082 0.620 0.002
Ru1 0.563 0.368 0.001
Ru2 0.437 0.632 0.501
Ru3 0.937 0.868 0.501
Ru4 0.063 0.132 0.001
N1 0.581 0.380 0.362
N2 0.419 0.620 0.862
N3 0.919 0.880 0.862
N4 0.081 0.120 0.362
N5 0.612 0.870 0.385
N6 0.388 0.130 0.885
N7 0.888 0.370 0.885
N8 0.112 0.630 0.385
# - formation energy (eV/atom) = 0.137

***

(7)
# Cs2Lu7CCl18 PBE optimized geometry
data_Cs2Lu7CCl18
_symmetry_space_group_name_H-M 'P 1'
_symmetry_Int_Tables_number 1
_cell_length_a 10.782
_cell_length_b 10.782
_cell_length_c 10.782
_cell_angle_alpha 54.91
_cell_angle_beta 54.91
_cell_angle_gamma 54.91
loop_
_symmetry_equiv_pos_as_xyz
'x,y,z'
loop_
_atom_site_label
_atom_site_fract_x
_atom_site_fract_y
_atom_site_fract_z
Cs1 0.222 0.222 0.222
Cs2 0.778 0.778 0.778
Lu1 0.224 0.823 0.108
Lu2 0.823 0.108 0.224
Lu3 0.177 0.892 0.776
Lu4 0.776 0.177 0.892
Lu5 0.500 0.500 0.500
Lu6 0.892 0.776 0.177
Lu7 0.108 0.224 0.823
C1 0.000 0.000 0.000
Cl1 0.870 0.422 0.715
Cl2 0.643 0.216 0.475
Cl3 0.656 0.947 0.067
Cl4 0.053 0.933 0.344
Cl5 0.475 0.643 0.216
Cl6 0.715 0.870 0.422
Cl7 0.578 0.285 0.130
Cl8 0.784 0.525 0.357
Cl9 0.067 0.656 0.947
Cl10 0.422 0.715 0.870
Cl11 0.285 0.130 0.578
Cl12 0.130 0.578 0.285
Cl13 0.933 0.344 0.053
Cl14 0.357 0.784 0.525
Cl15 0.216 0.475 0.643
Cl16 0.525 0.357 0.784
Cl17 0.344 0.053 0.933
Cl18 0.947 0.067 0.656
# - formation energy (eV/atom) = -2.495

***

(8)
# MgCu2SnHgS4 PBE optimized geometry
data_MgCu2SnHgS4
_symmetry_space_group_name_H-M 'P 1'
_symmetry_Int_Tables_number 1
_cell_length_a 5.708
_cell_length_b 5.708
_cell_length_c 7.545
_cell_angle_alpha 113.20
_cell_angle_beta 113.20
_cell_angle_gamma 87.62
loop_
_symmetry_equiv_pos_as_xyz
'x,y,z'
loop_
_atom_site_label
_atom_site_fract_x
_atom_site_fract_y
_atom_site_fract_z
Mg1 0.250 0.250 0.499
Cu1 0.251 0.751 0.501
Cu2 0.751 0.251 0.501
Sn1 0.504 0.504 0.008
Hg1 0.999 0.999 0.998
S1 0.382 0.382 0.285
S2 0.903 0.903 0.285
S3 0.086 0.612 0.697
S4 0.612 0.086 0.697
# - formation energy (eV/atom) = -0.550

***

(9)
# SiC PBE optimized geometry
data_SiC
_symmetry_space_group_name_H-M 'P 1'
_symmetry_Int_Tables_number 1
_cell_length_a 3.095
_cell_length_b 3.095
_cell_length_c 91.100
_cell_angle_alpha 90.00
_cell_angle_beta 90.00
_cell_angle_gamma 120.00
loop_
_symmetry_equiv_pos_as_xyz
'x,y,z'
loop_
_atom_site_label
_atom_site_fract_x
_atom_site_fract_y
_atom_site_fract_z
Si1 0.000 0.000 0.167
Si2 0.667 0.333 0.611
Si3 0.333 0.667 0.917
Si4 0.000 0.000 0.417
Si5 0.333 0.667 0.361
Si6 0.667 0.333 0.278
Si7 0.333 0.667 0.806
Si8 0.333 0.667 0.306
Si9 0.667 0.333 0.778
Si10 0.333 0.667 0.139
Si11 0.000 0.000 0.667
Si12 0.333 0.667 0.028
Si13 0.667 0.333 0.528
Si14 0.333 0.667 0.639
Si15 0.000 0.000 0.833
Si16 0.333 0.667 0.194
Si17 0.333 0.667 0.472
Si18 0.667 0.333 0.111
Si19 0.667 0.333 0.056
Si20 0.000 0.000 0.500
Si21 0.667 0.333 0.222
Si22 0.000 0.000 0.556
Si23 0.000 0.000 0.722
Si24 0.000 0.000 0.083
Si25 0.667 0.333 0.944
Si26 0.667 0.333 0.389
Si27 0.667 0.333 0.694
Si28 0.667 0.333 0.861
Si29 0.000 0.000 0.333
Si30 0.333 0.667 0.583
Si31 0.000 0.000 0.000
Si32 0.000 0.000 0.889
Si33 0.667 0.333 0.444
Si34 0.333 0.667 0.750
Si35 0.000 0.000 0.250
Si36 0.333 0.667 0.972
C1 0.000 0.000 0.743
C2 0.000 0.000 0.271
C3 0.333 0.667 0.382
C4 0.000 0.000 0.576
C5 0.667 0.333 0.465
C6 0.667 0.333 0.132
C7 0.667 0.333 0.410
C8 0.333 0.667 0.826
C9 0.000 0.000 0.438
C10 0.667 0.333 0.299
C11 0.000 0.000 0.104
C12 0.667 0.333 0.715
C13 0.000 0.000 0.910
C14 0.667 0.333 0.799
C15 0.000 0.000 0.521
C16 0.667 0.333 0.882
C17 0.667 0.333 0.076
C18 0.333 0.667 0.993
C19 0.667 0.333 0.243
C20 0.000 0.000 0.188
C21 0.667 0.333 0.632
C22 0.333 0.667 0.049
C23 0.000 0.000 0.854
C24 0.333 0.667 0.604
C25 0.000 0.000 0.354
C26 0.333 0.667 0.160
C27 0.333 0.667 0.493
C28 0.333 0.667 0.660
C29 0.333 0.667 0.937
C30 0.333 0.667 0.771
C31 0.333 0.667 0.326
C32 0.667 0.333 0.549
C33 0.333 0.667 0.215
C34 0.000 0.000 0.021
C35 0.667 0.333 0.965
C36 0.000 0.000 0.687
# - formation energy (eV/atom) = -0.203

***

- What is the formation energy in the seventh record?
  -2.495 eV/atom

***

- formation energy of number 3 (Cd2SnO4)?
  -1.717 eV/atom

***

- What is the formation energy in the first record?
  -0.263 eV/atom

***

What did the eighth record say?
# MgCu2SnHgS4 PBE optimized geometry
data_MgCu2SnHgS4
_symmetry_space_group_name_H-M 'P 1'
_symmetry_Int_Tables_number 1
_cell_length_a 5.708
_cell_length_b 5.708
_cell_length_c 7.545
_cell_angle_alpha 113.20
_cell_angle_beta 113.20
_cell_angle_gamma 87.62
loop_
_symmetry_equiv_pos_as_xyz
'x,y,z'
loop_
_atom_site_label
_atom_site_fract_x
_atom_site_fract_y
_atom_site_fract_z
Mg1 0.250 0.250 0.499
Cu1 0.251 0.751 0.501
Cu2 0.751 0.251 0.501
Sn1 0.504 0.504 0.008
Hg1 0.999 0.999 0.998
S1 0.382 0.382 0.285
S2 0.903 0.903 0.285
S3 0.086 0.612 0.697
S4 0.612 0.086 0.697
# - formation energy (eV/atom) = -0.550